No. 1
# PBE Ho3In, relaxed
# Raw total energy (eV per atom): -4.37
# Calculated volume (A^3/atom): 28.235
# Formation energy (meV/atom): -247.3
data_Ho3In
_symmetry_space_group_name_H-M 'P 63/m m c'
_symmetry_Int_Tables_number 194
_symmetry_space_group_name_Hall '-P 6c 2c'
_cell_length_a 6.8851
_cell_length_b 6.8851
_cell_length_c 5.5021
_cell_angle_alpha 90.00
_cell_angle_beta 90.00
_cell_angle_gamma 120.00
loop_
_atom_site_label
_atom_site_type_symbol
_atom_site_fract_x
_atom_site_fract_y
_atom_site_fract_z
Ho1 Ho 0.1713 0.3426 0.2500
In1 In 0.3333 0.6667 0.7500

=====

No. 2
# PBE Ho4InIr, relaxed
# Raw total energy (eV per atom): -5.58
# Calculated volume (A^3/atom): 26.328
# Formation energy (meV/atom): -593.0
data_Ho4InIr
_symmetry_space_group_name_H-M 'F -4 3 m'
_symmetry_Int_Tables_number 216
_symmetry_space_group_name_Hall 'F -4 2 3'
_cell_length_a 13.622
_cell_length_b 13.622
_cell_length_c 13.622
_cell_angle_alpha 90.00
_cell_angle_beta 90.00
_cell_angle_gamma 90.00
loop_
_atom_site_label
_atom_site_type_symbol
_atom_site_fract_x
_atom_site_fract_y
_atom_site_fract_z
Ho1 Ho 0.000 0.000 0.190
Ho2 Ho 0.059 0.250 0.250
Ho3 Ho 0.099 0.099 0.599
In1 In 0.167 0.167 0.833
Ir1 Ir 0.109 0.109 0.391

=====

No. 3
# PBE LaHoIn2, relaxed
# Raw total energy (eV per atom): -4.23
# Calculated volume (A^3/atom): 28.803
# Formation energy (meV/atom): -472.6
data_LaHoIn2
_symmetry_space_group_name_H-M 'F m -3 m'
_symmetry_Int_Tables_number 225
_symmetry_space_group_name_Hall '-F 4 2 3'
_cell_length_a 7.724
_cell_length_b 7.724
_cell_length_c 7.724
_cell_angle_alpha 90.00
_cell_angle_beta 90.00
_cell_angle_gamma 90.00
loop_
_atom_site_label
_atom_site_type_symbol
_atom_site_fract_x
_atom_site_fract_y
_atom_site_fract_z
La1 La 0.000 0.000 0.000
Ho1 Ho 0.000 0.000 0.500
In1 In 0.250 0.250 0.250

=====

No. 4
# PBE LiHo2In, relaxed
# Raw total energy (eV per atom): -3.71
# Calculated volume (A^3/atom): 25.558
# Formation energy (meV/atom): -256.4
data_LiHo2In
_symmetry_space_group_name_H-M 'F m -3 m'
_symmetry_Int_Tables_number 225
_symmetry_space_group_name_Hall '-F 4 2 3'
_cell_length_a 7.423
_cell_length_b 7.423
_cell_length_c 7.423
_cell_angle_alpha 90.00
_cell_angle_beta 90.00
_cell_angle_gamma 90.00
loop_
_atom_site_label
_atom_site_type_symbol
_atom_site_fract_x
_atom_site_fract_y
_atom_site_fract_z
Li1 Li 0.000 0.000 0.000
Ho1 Ho 0.250 0.250 0.250
In1 In 0.000 0.000 0.500

=====

No. 5
# PBE LiHoIn2, relaxed
# Raw total energy (eV per atom): -3.37
# Calculated volume (A^3/atom): 23.950
# Formation energy (meV/atom): -370.5
data_LiHoIn2
_symmetry_space_group_name_H-M 'F m -3 m'
_symmetry_Int_Tables_number 225
_symmetry_space_group_name_Hall '-F 4 2 3'
_cell_length_a 7.263
_cell_length_b 7.263
_cell_length_c 7.263
_cell_angle_alpha 90.00
_cell_angle_beta 90.00
_cell_angle_gamma 90.00
loop_
_atom_site_label
_atom_site_type_symbol
_atom_site_fract_x
_atom_site_fract_y
_atom_site_fract_z
Li1 Li 0.000 0.000 0.000
Ho1 Ho 0.000 0.000 0.500
In1 In 0.250 0.250 0.250

=====

No. 6
# PBE Li2HoIn, relaxed
# Raw total energy (eV per atom): -3.07
# Calculated volume (A^3/atom): 20.047
# Formation energy (meV/atom): -277.3
data_Li2HoIn
_symmetry_space_group_name_H-M 'F m -3 m'
_symmetry_Int_Tables_number 225
_symmetry_space_group_name_Hall '-F 4 2 3'
_cell_length_a 6.845
_cell_length_b 6.845
_cell_length_c 6.845
_cell_angle_alpha 90.00
_cell_angle_beta 90.00
_cell_angle_gamma 90.00
loop_
_atom_site_label
_atom_site_type_symbol
_atom_site_fract_x
_atom_site_fract_y
_atom_site_fract_z
Li1 Li 0.250 0.250 0.250
Ho1 Ho 0.000 0.000 0.000
In1 In 0.000 0.000 0.500

=====

What is the formula in the fifth record?
LiHoIn2

=====

What is the calculated volume in the fifth record?
23.950 A^3/atom

=====

Which formula does entry 3 have?
LaHoIn2